Crystalline SmPt2 at its relaxed geometry. Source: the Materials Project, functional r2SCAN.

a = 5.4536 Å, b = 5.4536 Å, c = 5.4536 Å
α = 60.00°, β = 60.00°, γ = 60.00°
Atoms (fractional coordinates):
1 Sm 0.1250 0.1250 0.1250
2 Sm 0.8750 0.8750 0.8750
3 Pt 0.0000 0.5000 0.5000
4 Pt 0.5000 0.0000 0.5000
5 Pt 0.5000 0.5000 0.0000
6 Pt 0.5000 0.5000 0.5000

Results
The calculation puts the total energy at -45.419 eV per atom. The value obtained for the energy relative to the elements is -1.183 eV per atom. Its symmetry is Fd-3m, No. 227.

Crystalline Gd2C at its relaxed geometry. Source: the Materials Project, functional r2SCAN.

a = 6.4796 Å, b = 6.4796 Å, c = 6.4796 Å
α = 32.69°, β = 32.69°, γ = 32.69°
Atoms (fractional coordinates):
1 Gd 0.2398 0.2398 0.2398
2 Gd 0.7602 0.7602 0.7602
3 C 0.5000 0.5000 0.5000

Results
The calculation puts the total energy at -32.586 eV per atom. The value obtained for the energy relative to the elements is -0.339 eV per atom. Its symmetry is R-3m, No. 166.

Crystalline YAlPt at its relaxed geometry. Source: the Materials Project, functional r2SCAN.

a = 6.9269 Å, b = 4.4122 Å, c = 7.6967 Å
α = 90.00°, β = 90.00°, γ = 90.00°
Atoms (fractional coordinates):
1 Y 0.0257 0.2500 0.1833
2 Y 0.4743 0.7500 0.6833
3 Y 0.5257 0.2500 0.3167
4 Y 0.9743 0.7500 0.8167
5 Al 0.1470 0.2500 0.5657
6 Al 0.3530 0.7500 0.0657
7 Al 0.6470 0.2500 0.9343
8 Al 0.8530 0.7500 0.4343
9 Pt 0.2241 0.7500 0.3857
10 Pt 0.2759 0.2500 0.8857
11 Pt 0.7241 0.7500 0.1143
12 Pt 0.7759 0.2500 0.6143

Results
The calculation puts the total energy at -27.432 eV per atom. The value obtained for the energy relative to the elements is -1.254 eV per atom. Its symmetry is Pnma, No. 62.